A geometry-optimized Ti2O structure. Source: the Materials Project database, functional PBE-GGA.

Cell lengths 11.545, 11.075, 10.932 Å; angles 85.66, 90.72, 90.84 degrees
Atoms (fractional coordinates):
Ti  0.813  0.853  0.344
Ti  0.219  0.432  0.074
Ti  0.406  0.840  0.000
Ti  0.128  0.030  0.324
Ti  0.177  0.517  0.812
Ti  0.630  0.779  0.616
Ti  0.240  0.110  0.538
Ti  0.163  0.972  0.032
Ti  0.997  0.851  0.181
Ti  0.685  0.384  0.143
Ti  0.633  0.196  0.440
Ti  0.596  0.672  0.004
Ti  0.656  0.090  0.203
Ti  0.050  0.178  0.923
Ti  0.998  0.428  0.958
Ti  0.041  0.721  0.737
Ti  0.979  0.139  0.582
Ti  0.448  0.600  0.210
Ti  0.936  0.330  0.732
Ti  0.188  0.223  0.182
Ti  0.321  0.331  0.435
Ti  0.139  0.019  0.762
Ti  0.977  0.896  0.902
Ti  0.562  0.836  0.180
Ti  0.407  0.373  0.910
Ti  0.214  0.523  0.326
Ti  0.947  0.375  0.198
Ti  0.539  0.427  0.408
Ti  0.405  0.237  0.675
Ti  0.909  0.154  0.111
Ti  0.560  0.037  0.648
Ti  0.694  0.532  0.557
Ti  0.230  0.741  0.135
Ti  0.172  0.315  0.656
Ti  0.375  0.996  0.789
Ti  0.679  0.265  0.695
Ti  0.874  0.120  0.352
Ti  0.762  0.768  0.816
Ti  0.465  0.680  0.463
Ti  0.821  0.589  0.034
Ti  0.819  0.098  0.839
Ti  0.876  0.559  0.787
Ti  0.693  0.634  0.252
Ti  0.359  0.601  0.964
Ti  0.599  0.937  0.420
Ti  0.836  0.375  0.418
Ti  0.931  0.603  0.294
Ti  0.455  0.291  0.163
Ti  0.228  0.791  0.849
Ti  0.562  0.194  0.917
Ti  0.131  0.738  0.381
Ti  0.612  0.935  0.907
Ti  0.249  0.691  0.618
Ti  0.385  0.901  0.556
Ti  0.055  0.669  0.990
Ti  0.429  0.101  0.356
Ti  0.000  0.909  0.491
Ti  0.053  0.530  0.543
Ti  0.342  0.119  0.013
Ti  0.353  0.866  0.301
Ti  0.788  0.983  0.572
Ti  0.869  0.706  0.552
Ti  0.795  0.332  0.926
Ti  0.773  0.838  0.084
Ti  0.066  0.294  0.407
Ti  0.632  0.520  0.810
Ti  0.463  0.761  0.779
Ti  0.432  0.514  0.679
O  0.177  0.417  0.490
O  0.471  0.272  0.355
O  0.309  0.377  0.756
O  0.987  0.015  0.041
O  0.959  0.967  0.312
O  0.649  0.094  0.794
O  0.874  0.540  0.474
O  0.741  0.644  0.686
O  0.385  0.519  0.371
O  0.053  0.282  0.067
O  0.922  0.764  0.045
O  0.124  0.397  0.240
O  0.209  0.201  0.367
O  0.436  0.380  0.561
O  0.294  0.290  0.024
O  0.171  0.878  0.234
O  0.497  0.974  0.262
O  0.066  0.194  0.739
O  0.099  0.009  0.591
O  0.324  0.637  0.779
O  0.776  0.416  0.737
O  0.836  0.178  0.674
O  0.556  0.344  0.013
O  0.971  0.542  0.113
O  0.065  0.728  0.553
O  0.598  0.591  0.394
O  0.464  0.020  0.952
O  0.350  0.142  0.191
O  0.654  0.972  0.082
O  0.796  0.920  0.902
O  0.302  0.764  0.456
O  0.289  0.993  0.416
O  0.286  0.575  0.148
O  0.678  0.357  0.513

Calculated values
Total moment in μB per formula unit: 0.09
Symmetry: P1 (1)
Final energy in eV per atom: -8.3831
E (MP2020) in eV/cell: -878.4
Energy above the lowest structure with this stoichiometry in meV/atom: 336